# 1
Density functional theory data (PBE with a Hubbard U) for crystalline Ce2Mo3O12 at its relaxed geometry.

Lattice parameters (Å, degrees): 6.926 6.926 11.947 100.04 100.04 113.04
Sites, in units of the cell vectors:
Ce 0.048 0.296 0.090
Ce 0.296 0.048 0.590
Ce 0.704 0.952 0.410
Ce 0.952 0.704 0.910
Mo 0.124 0.876 0.250
Mo 0.211 0.462 0.423
Mo 0.462 0.211 0.923
Mo 0.538 0.789 0.077
Mo 0.789 0.538 0.577
Mo 0.876 0.124 0.750
O 0.034 0.438 0.288
O 0.073 0.664 0.111
O 0.110 0.192 0.455
O 0.137 0.202 0.715
O 0.192 0.110 0.955
O 0.202 0.137 0.215
O 0.215 0.665 0.539
O 0.335 0.785 0.961
O 0.336 0.927 0.389
O 0.428 0.523 0.102
O 0.438 0.034 0.788
O 0.477 0.572 0.398
O 0.523 0.428 0.602
O 0.562 0.966 0.212
O 0.572 0.477 0.898
O 0.664 0.073 0.611
O 0.665 0.215 0.039
O 0.785 0.335 0.461
O 0.798 0.863 0.785
O 0.808 0.890 0.045
O 0.863 0.798 0.285
O 0.890 0.808 0.545
O 0.927 0.336 0.889
O 0.966 0.562 0.712

Summary:
For the formation energy, the calculation gives -2.583 eV/atom. The calculation puts the magnetic moment at 2.00 μB/f.u. The calculation puts the MP2020-corrected energy at -8.69 eV/atom. As for the total energy: -7.637 eV per atom.


# 2
Density functional theory data (PBE with a Hubbard U) for crystalline Ce2Mo4O15 at its relaxed geometry.

Lattice parameters (Å, degrees): 7.507 7.639 11.781 90.19 95.98 95.83
Sites, in units of the cell vectors:
Ce 0.186 0.399 0.269
Ce 0.258 0.914 0.724
Ce 0.742 0.086 0.276
Ce 0.814 0.601 0.731
Mo 0.070 0.741 0.023
Mo 0.225 0.922 0.371
Mo 0.272 0.418 0.626
Mo 0.400 0.167 0.027
Mo 0.600 0.833 0.973
Mo 0.728 0.582 0.374
Mo 0.775 0.078 0.629
Mo 0.930 0.259 0.977
O 0.072 0.084 0.318
O 0.087 0.759 0.871
O 0.126 0.541 0.093
O 0.153 0.593 0.681
O 0.156 0.220 0.947
O 0.164 0.706 0.312
O 0.208 0.386 0.477
O 0.208 0.923 0.087
O 0.216 0.903 0.521
O 0.229 0.209 0.696
O 0.348 0.264 0.173
O 0.414 0.981 0.897
O 0.450 0.000 0.346
O 0.461 0.668 0.025
O 0.495 0.512 0.350
O 0.505 0.488 0.650
O 0.539 0.332 0.975
O 0.550 0.000 0.654
O 0.586 0.019 0.103
O 0.652 0.736 0.827
O 0.771 0.791 0.304
O 0.784 0.097 0.479
O 0.792 0.077 0.913
O 0.792 0.614 0.523
O 0.836 0.294 0.688
O 0.844 0.780 0.053
O 0.847 0.407 0.319
O 0.874 0.459 0.907
O 0.913 0.241 0.129
O 0.928 0.916 0.682

Summary:
For the formation energy, the calculation gives -2.490 eV/atom. The calculation puts the magnetic moment at 2.00 μB/f.u. The calculation puts the MP2020-corrected energy at -8.66 eV/atom. As for the total energy: -7.555 eV per atom.


# 3
Density functional theory data (PBE with a Hubbard U) for crystalline Ce3MoO7 at its relaxed geometry.

Lattice parameters (Å, degrees): 7.591 7.646 10.799 90.00 90.00 90.00
Sites, in units of the cell vectors:
Ce 0.005 0.036 0.220
Ce 0.009 0.046 0.772
Ce 0.243 0.717 0.006
Ce 0.257 0.283 0.506
Ce 0.491 0.954 0.272
Ce 0.495 0.964 0.720
Ce 0.505 0.464 0.780
Ce 0.509 0.454 0.228
Ce 0.743 0.783 0.994
Ce 0.757 0.217 0.494
Ce 0.991 0.546 0.728
Ce 0.995 0.536 0.280
Mo 0.250 0.254 0.001
Mo 0.250 0.746 0.501
Mo 0.750 0.246 0.999
Mo 0.750 0.754 0.499
O 0.001 0.137 0.992
O 0.005 0.780 0.863
O 0.012 0.264 0.369
O 0.202 0.916 0.350
O 0.211 0.463 0.136
O 0.211 0.474 0.878
O 0.212 0.965 0.624
O 0.288 0.035 0.124
O 0.289 0.526 0.378
O 0.289 0.537 0.636
O 0.298 0.084 0.850
O 0.488 0.736 0.869
O 0.495 0.220 0.363
O 0.499 0.863 0.492
O 0.501 0.363 0.008
O 0.505 0.720 0.137
O 0.512 0.236 0.631
O 0.702 0.584 0.650
O 0.711 0.026 0.122
O 0.711 0.037 0.864
O 0.712 0.535 0.376
O 0.788 0.465 0.876
O 0.789 0.963 0.364
O 0.789 0.974 0.622
O 0.798 0.416 0.150
O 0.988 0.764 0.131
O 0.995 0.280 0.637
O 0.999 0.637 0.508

Summary:
For the formation energy, the calculation gives -3.399 eV/atom. The calculation puts the magnetic moment at 4.00 μB/f.u. The calculation puts the MP2020-corrected energy at -9.15 eV/atom. As for the total energy: -8.424 eV per atom.


# 4
Density functional theory data (PBE with a Hubbard U) for crystalline CeTlMo2O8 at its relaxed geometry.

Lattice parameters (Å, degrees): 5.261 18.825 8.395 90.00 90.00 90.00
Sites, in units of the cell vectors:
Ce 0.000 0.007 0.250
Ce 0.000 0.993 0.750
Ce 0.500 0.493 0.750
Ce 0.500 0.507 0.250
Tl 0.000 0.230 0.750
Tl 0.000 0.770 0.250
Tl 0.500 0.270 0.250
Tl 0.500 0.730 0.750
Mo 0.023 0.399 0.016
Mo 0.023 0.601 0.516
Mo 0.477 0.101 0.516
Mo 0.477 0.899 0.016
Mo 0.523 0.101 0.984
Mo 0.523 0.899 0.484
Mo 0.977 0.399 0.484
Mo 0.977 0.601 0.984
O 0.102 0.312 0.475
O 0.102 0.688 0.975
O 0.225 0.400 0.843
O 0.225 0.600 0.343
O 0.240 0.408 0.185
O 0.240 0.592 0.685
O 0.244 0.464 0.503
O 0.244 0.536 0.003
O 0.256 0.036 0.003
O 0.256 0.964 0.503
O 0.260 0.092 0.685
O 0.260 0.908 0.185
O 0.275 0.100 0.343
O 0.275 0.900 0.843
O 0.398 0.188 0.975
O 0.398 0.812 0.475
O 0.602 0.188 0.525
O 0.602 0.812 0.025
O 0.725 0.100 0.157
O 0.725 0.900 0.657
O 0.740 0.092 0.815
O 0.740 0.908 0.315
O 0.744 0.036 0.497
O 0.744 0.964 0.997
O 0.756 0.464 0.997
O 0.756 0.536 0.497
O 0.760 0.408 0.315
O 0.760 0.592 0.815
O 0.775 0.400 0.657
O 0.775 0.600 0.157
O 0.898 0.312 0.025
O 0.898 0.688 0.525

Summary:
For the formation energy, the calculation gives -2.338 eV/atom. The calculation puts the magnetic moment at 1.00 μB/f.u. The calculation puts the MP2020-corrected energy at -8.14 eV/atom. As for the total energy: -7.144 eV per atom.


# 5
Density functional theory data (PBE with a Hubbard U) for crystalline NaSrCeWO6 at its relaxed geometry.

Lattice parameters (Å, degrees): 5.981 5.981 5.981 60.00 60.00 60.00
Sites, in units of the cell vectors:
Na 0.000 0.000 0.000
Sr 0.500 0.500 0.500
Ce 0.750 0.750 0.750
W 0.250 0.250 0.250
O 0.017 0.017 0.483
O 0.017 0.483 0.017
O 0.017 0.483 0.483
O 0.483 0.017 0.017
O 0.483 0.017 0.483
O 0.483 0.483 0.017

Summary:
For the formation energy, the calculation gives -2.817 eV/atom. The calculation puts the magnetic moment at 1.00 μB/f.u. The calculation puts the MP2020-corrected energy at -7.98 eV/atom. As for the total energy: -7.120 eV per atom.


# 6
Density functional theory data (PBE with a Hubbard U) for crystalline CeNiO3 at its relaxed geometry.

Lattice parameters (Å, degrees): 3.785 3.785 3.785 90.00 90.00 90.00
Sites, in units of the cell vectors:
Ce 0.000 0.000 0.000
Ni 0.500 0.500 0.500
O 0.000 0.500 0.500
O 0.500 0.000 0.500
O 0.500 0.500 0.000

Summary:
For the formation energy, the calculation gives -2.397 eV/atom. The calculation puts the magnetic moment at 2.00 μB/f.u. The calculation puts the MP2020-corrected energy at -7.71 eV/atom. As for the total energy: -6.788 eV per atom.